Computed, not measured: ErGaIr after structural relaxation at the PBE-GGA level of DFT.

Cell: 6.7546 4.3632 7.6843 Å, 90.00 90.00 90.00°
Space group Pnma (No. 62)
Asymmetric unit:
Er 0.0159 0.2500 0.1929 [4 per cell]
Ga 0.1664 0.2500 0.5733 [4 per cell]
Ir 0.2258 0.7500 0.3962 [4 per cell]

Calculated values
energy: -6.377 eV/atom
V: 18.87 A^3/atom
theoretical density: 12.59 g/cm³
formation enthalpy at 0 K: -0.8990 eV/atom

***

Computed, not measured: Na3Mg4Nb8P15S3O72 after structural relaxation at the PBE-GGA level of DFT.

Cell: 8.7463 8.7535 22.7462 Å, 90.05 90.02 119.86°
Space group P1 (No. 1)
Asymmetric unit:
Na 0.0000 0.0000 0.0000 [1 per cell]
Na 0.0015 0.9992 0.4974 [1 per cell]
Na 0.3388 0.6618 0.3464 [1 per cell]
Mg 0.0021 0.0003 0.3597 [1 per cell]
Mg 0.0018 0.9998 0.8569 [1 per cell]
Mg 0.3397 0.6624 0.4839 [1 per cell]
Mg 0.6720 0.3265 0.0299 [1 per cell]
Nb 0.0022 0.9970 0.6509 [1 per cell]
Nb 0.3285 0.6567 0.9815 [1 per cell]
Nb 0.3341 0.6590 0.6935 [1 per cell]
Nb 0.3358 0.6616 0.1923 [1 per cell]
Nb 0.6596 0.3216 0.3154 [1 per cell]
Nb 0.6607 0.3195 0.5282 [1 per cell]
Nb 0.6780 0.3312 0.8140 [1 per cell]
Nb 0.9990 0.9952 0.1508 [1 per cell]
P 0.0028 0.2823 0.2572 [1 per cell]
P 0.0056 0.7151 0.7573 [1 per cell]
P 0.0445 0.6602 0.0876 [1 per cell]
P 0.0512 0.3779 0.5858 [1 per cell]
P 0.2822 0.9911 0.2571 [1 per cell]
P 0.2869 0.2802 0.7576 [1 per cell]
P 0.3307 0.9416 0.5865 [1 per cell]
P 0.3377 0.3733 0.0872 [1 per cell]
P 0.3742 0.3282 0.4218 [1 per cell]
P 0.6200 0.9499 0.0869 [1 per cell]
P 0.6211 0.6631 0.5864 [1 per cell]
P 0.6676 0.0346 0.4217 [1 per cell]
P 0.7147 0.9905 0.7570 [1 per cell]
P 0.7170 0.7109 0.2577 [1 per cell]
P 0.9495 0.3180 0.9245 [1 per cell]
S 0.3790 0.0441 0.9231 [1 per cell]
S 0.6729 0.6177 0.9232 [1 per cell]
S 0.9565 0.6170 0.4219 [1 per cell]
O 0.0218 0.1880 0.5990 [1 per cell]
O 0.0365 0.8211 0.8116 [1 per cell]
O 0.0366 0.8342 0.0960 [1 per cell]
O 0.0426 0.2085 0.3103 [1 per cell]
O 0.1282 0.6274 0.4264 [1 per cell]
O 0.1348 0.4881 0.6427 [1 per cell]
O 0.1365 0.4950 0.9311 [1 per cell]
O 0.1418 0.6430 0.1424 [1 per cell]
O 0.1600 0.6818 0.7430 [1 per cell]
O 0.1628 0.4505 0.5323 [1 per cell]
O 0.1626 0.4702 0.2442 [1 per cell]
O 0.1641 0.1921 0.0960 [1 per cell]
O 0.1699 0.6970 0.0334 [1 per cell]
O 0.1722 0.9741 0.5989 [1 per cell]
O 0.1727 0.9557 0.3109 [1 per cell]
O 0.1760 0.2062 0.8109 [1 per cell]
O 0.1993 0.0213 0.2003 [1 per cell]
O 0.2001 0.0135 0.9150 [1 per cell]
O 0.2021 0.1568 0.4185 [1 per cell]
O 0.2040 0.1660 0.7012 [1 per cell]
O 0.2942 0.8333 0.5323 [1 per cell]
O 0.2996 0.4621 0.0331 [1 per cell]
O 0.3152 0.4663 0.7426 [1 per cell]
O 0.3147 0.8335 0.2449 [1 per cell]
O 0.3547 0.4866 0.1423 [1 per cell]
O 0.3600 0.8603 0.6430 [1 per cell]
O 0.3673 0.4969 0.4250 [1 per cell]
O 0.3673 0.8647 0.9297 [1 per cell]
O 0.4600 0.1496 0.9750 [1 per cell]
O 0.4704 0.1564 0.2629 [1 per cell]
O 0.4756 0.3050 0.7662 [1 per cell]
O 0.4792 0.3115 0.4765 [1 per cell]
O 0.4896 0.1234 0.8689 [1 per cell]
O 0.4952 0.1311 0.5806 [1 per cell]
O 0.4962 0.3485 0.3668 [1 per cell]
O 0.4959 0.3550 0.0784 [1 per cell]
O 0.4962 0.8625 0.4249 [1 per cell]
O 0.5068 0.6323 0.9295 [1 per cell]
O 0.5088 0.6345 0.6429 [1 per cell]
O 0.5089 0.8534 0.1425 [1 per cell]
O 0.5277 0.6813 0.2448 [1 per cell]
O 0.5283 0.8355 0.7425 [1 per cell]
O 0.5335 0.8252 0.0331 [1 per cell]
O 0.5493 0.7037 0.5329 [1 per cell]
O 0.6384 0.1271 0.0808 [1 per cell]
O 0.6397 0.5067 0.8687 [1 per cell]
O 0.6466 0.5003 0.5795 [1 per cell]
O 0.6509 0.1396 0.3671 [1 per cell]
O 0.6879 0.1565 0.4768 [1 per cell]
O 0.6902 0.1565 0.7647 [1 per cell]
O 0.6934 0.5339 0.9750 [1 per cell]
O 0.6946 0.5242 0.2641 [1 per cell]
O 0.7888 0.9566 0.8110 [1 per cell]
O 0.7917 0.8236 0.3109 [1 per cell]
O 0.8037 0.9604 0.0961 [1 per cell]
O 0.8100 0.8239 0.5998 [1 per cell]
O 0.8237 0.7944 0.9151 [1 per cell]
O 0.8302 0.0265 0.7010 [1 per cell]
O 0.8296 0.7964 0.2005 [1 per cell]
O 0.8365 0.0278 0.4185 [1 per cell]
O 0.8383 0.5253 0.7646 [1 per cell]
O 0.8392 0.3059 0.2640 [1 per cell]
O 0.8400 0.3008 0.9769 [1 per cell]
O 0.8459 0.5286 0.4753 [1 per cell]
O 0.8633 0.3538 0.5794 [1 per cell]
O 0.8641 0.3526 0.8671 [1 per cell]
O 0.8671 0.5033 0.0803 [1 per cell]
O 0.8678 0.5060 0.3681 [1 per cell]
O 0.9671 0.7884 0.4170 [1 per cell]
O 0.9714 0.7953 0.7011 [1 per cell]
O 0.9735 0.1676 0.2004 [1 per cell]
O 0.9833 0.1667 0.9152 [1 per cell]

Calculated values
energy: -7.452 eV/atom
V: 14.38 A^3/atom
theoretical density: 2.88 g/cm³
formation enthalpy at 0 K: -2.7703 eV/atom

***

Computed, not measured: Ba6Na2P2Ru2O17 after structural relaxation at the PBE-GGA level of DFT.

Cell: 5.8693 5.8693 29.6247 Å, 90.00 90.00 120.00°
Space group P6_3/mmc (No. 194)
Asymmetric unit:
Ba 0.0000 0.0000 0.0000 [2 per cell]
Ba 0.0000 0.0000 0.2500 [2 per cell]
Ba 0.3333 0.6667 0.0899 [4 per cell]
Ba 0.3333 0.6667 0.6777 [4 per cell]
Na 0.0000 0.0000 0.1220 [4 per cell]
P 0.3333 0.6667 0.5535 [4 per cell]
Ru 0.3333 0.6667 0.2030 [4 per cell]
O 0.0258 0.5129 0.2500 [6 per cell]
O 0.1758 0.3515 0.1684 [12 per cell]
O 0.1888 0.3775 0.5722 [12 per cell]
O 0.3333 0.6667 0.5014 [4 per cell]

Calculated values
energy: -6.729 eV/atom
V: 15.24 A^3/atom
theoretical density: 5.28 g/cm³
formation enthalpy at 0 K: -2.7299 eV/atom

***

Computed, not measured: Mg6Si5 after structural relaxation at the PBE-GGA level of DFT.

Cell: 5.0302 5.9742 14.0063 Å, 89.28 80.62 82.61°
Space group P1 (No. 1)
Asymmetric unit:
Mg 0.0000 0.0000 0.0000 [1 per cell]
Mg 0.0035 0.9668 0.6732 [1 per cell]
Mg 0.0091 0.4998 0.0250 [1 per cell]
Mg 0.0198 0.4680 0.6715 [1 per cell]
Mg 0.0876 0.7341 0.4596 [1 per cell]
Mg 0.4338 0.2019 0.1148 [1 per cell]
Mg 0.4614 0.7014 0.1113 [1 per cell]
Mg 0.5664 0.9380 0.8844 [1 per cell]
Mg 0.5800 0.4399 0.8903 [1 per cell]
Mg 0.5868 0.4555 0.5470 [1 per cell]
Mg 0.7643 0.1528 0.3814 [1 per cell]
Mg 0.9068 0.8817 0.2055 [1 per cell]
Si 0.1087 0.6898 0.8400 [1 per cell]
Si 0.1215 0.2630 0.8400 [1 per cell]
Si 0.1695 0.2517 0.4821 [1 per cell]
Si 0.2863 0.4142 0.2998 [1 per cell]
Si 0.3348 0.9720 0.2993 [1 per cell]
Si 0.4863 0.1494 0.7029 [1 per cell]
Si 0.4917 0.9401 0.5454 [1 per cell]
Si 0.5067 0.7211 0.7130 [1 per cell]
Si 0.6424 0.6600 0.3605 [1 per cell]
Si 0.8443 0.4085 0.2169 [1 per cell]

Calculated values
energy: -3.214 eV/atom
relative energy among the computed polymorphs: 124 meV per atom
V: 18.72 A^3/atom
theoretical density: 2.31 g/cm³
formation enthalpy at 0 K: 0.1568 eV/atom

***

Computed, not measured: Lu2ZnOs after structural relaxation at the PBE-GGA level of DFT.

Cell: 6.7922 6.7922 6.7922 Å, 90.00 90.00 90.00°
Space group Fm-3m (No. 225)
Asymmetric unit:
Lu 0.2500 0.2500 0.2500 [8 per cell]
Zn 0.0000 0.0000 0.0000 [4 per cell]
Os 0.0000 0.0000 0.5000 [4 per cell]

Calculated values
energy: -5.756 eV/atom
V: 19.58 A^3/atom
theoretical density: 12.84 g/cm³
formation enthalpy at 0 K: -0.3733 eV/atom

***

Computed, not measured: Rb2Pt3S4 after structural relaxation at the PBE-GGA level of DFT.

Cell: 6.5073 11.0147 13.3255 Å, 90.00 90.00 90.00°
Space group Fmmm (No. 69)
Asymmetric unit:
Rb 0.0000 0.0000 0.1514 [8 per cell]
Pt 0.0000 0.0000 0.5000 [4 per cell]
Pt 0.2500 0.2500 0.0000 [8 per cell]
S 0.0000 0.1681 0.3891 [16 per cell]

Calculated values
energy: -4.795 eV/atom
relative energy among the computed polymorphs: 0 meV per atom
V: 26.53 A^3/atom
theoretical density: 6.15 g/cm³
formation enthalpy at 0 K: -0.9384 eV/atom

***

Computed, not measured: TbAg3 after structural relaxation at the PBE-GGA level of DFT.

Cell: 4.5458 4.5458 8.0928 Å, 90.00 90.00 90.00°
Space group I4/mmm (No. 139)
Asymmetric unit:
Tb 0.0000 0.0000 0.0000 [2 per cell]
Ag 0.0000 0.0000 0.5000 [2 per cell]
Ag 0.0000 0.5000 0.2500 [4 per cell]

Calculated values
energy: -3.510 eV/atom
relative energy among the computed polymorphs: 0 meV per atom
V: 20.90 A^3/atom
theoretical density: 9.58 g/cm³
formation enthalpy at 0 K: -0.2270 eV/atom

***

Computed, not measured: NpCo2Si2 after structural relaxation at the PBE-GGA level of DFT.

Cell: 3.8342 3.8342 9.6674 Å, 90.00 90.00 90.00°
Space group I4/mmm (No. 139)
Asymmetric unit:
Np 0.0000 0.0000 0.0000 [2 per cell]
Co 0.0000 0.5000 0.2500 [4 per cell]
Si 0.0000 0.0000 0.3778 [4 per cell]

Calculated values
energy: -8.123 eV/atom
V: 14.21 A^3/atom
theoretical density: 9.61 g/cm³
formation enthalpy at 0 K: -0.4918 eV/atom